LiMn2O4 | PBE with a Hubbard U | optimized geometry

Theoretical density, g/cm³: 4.3
Symmetry: Cc
ΔE to the lowest computed polymorph, eV per formula unit: 0.41
VASP energy, eV for the cell shown: -288.02
Energy of formation from the pure elements, meV per atom: -2009

POSCAR file:
```
LiMn2O4
1.0
5.029 -2.914 0.000
5.029 2.914 0.000
-0.626 0.000 14.229
Li Mn O
6 12 24
Direct
0.113 0.887 0.500
0.349 0.642 0.991
0.435 0.696 0.359
0.642 0.349 0.491
0.696 0.435 0.859
0.887 0.113 0.000
0.129 0.382 0.522
0.170 0.923 0.690
0.182 0.433 0.837
0.382 0.129 0.022
0.409 0.655 0.177
0.433 0.182 0.337
0.632 0.880 0.523
0.655 0.409 0.677
0.682 0.933 0.836
0.880 0.632 0.023
0.923 0.170 0.190
0.933 0.682 0.336
0.008 0.764 0.921
0.044 0.305 0.944
0.099 0.343 0.274
0.103 0.836 0.257
0.220 0.975 0.097
0.228 0.474 0.082
0.266 0.514 0.420
0.305 0.044 0.444
0.343 0.099 0.774
0.348 0.586 0.761
0.467 0.732 0.601
0.474 0.228 0.582
0.514 0.266 0.920
0.553 0.790 0.948
0.586 0.348 0.261
0.587 0.843 0.275
0.720 0.974 0.084
0.732 0.467 0.101
0.764 0.008 0.421
0.790 0.553 0.448
0.836 0.103 0.757
0.843 0.587 0.775
0.974 0.720 0.584
0.975 0.220 0.597
```



Li2FeBO4 | PBE with a Hubbard U | optimized geometry

Theoretical density, g/cm³: 3.1
Symmetry: Pnma
ΔE to the lowest computed polymorph, eV per formula unit: 0.43
VASP energy, eV for the cell shown: -207.33
Energy of formation from the pure elements, meV per atom: -2260

POSCAR file:
```
Li2FeBO4
1.0
10.541 0.000 0.000
0.000 5.861 0.000
0.000 0.000 5.001
Li Fe B O
8 4 4 16
Direct
0.169 0.004 0.176
0.169 0.496 0.176
0.331 0.504 0.676
0.331 0.996 0.676
0.669 0.004 0.324
0.669 0.496 0.324
0.831 0.504 0.824
0.831 0.996 0.824
0.076 0.250 0.679
0.424 0.750 0.179
0.576 0.250 0.821
0.924 0.750 0.321
0.089 0.750 0.671
0.411 0.250 0.171
0.589 0.750 0.829
0.911 0.250 0.329
0.055 0.250 0.289
0.103 0.750 0.369
0.148 0.539 0.784
0.148 0.961 0.784
0.352 0.039 0.284
0.352 0.461 0.284
0.397 0.250 0.869
0.445 0.750 0.789
0.555 0.250 0.211
0.603 0.750 0.131
0.648 0.539 0.716
0.648 0.961 0.716
0.852 0.039 0.216
0.852 0.461 0.216
0.897 0.250 0.631
0.945 0.750 0.711
```



MgNi2W2O8 | PBE with a Hubbard U | optimized geometry

Theoretical density, g/cm³: 7.2
Symmetry: P2
ΔE to the lowest computed polymorph, eV per formula unit: 3.19
VASP energy, eV for the cell shown: -79.48
Energy of formation from the pure elements, meV per atom: -1560

POSCAR file:
```
MgNi2W2O8
1.0
4.859 0.000 0.000
0.000 5.921 0.000
-0.154 0.000 5.140
Mg Ni W O
1 2 2 8
Direct
0.000 0.000 0.000
0.500 0.033 0.000
0.500 0.746 0.500
0.000 0.236 0.500
0.000 0.535 0.000
0.215 0.498 0.683
0.219 0.260 0.170
0.250 0.022 0.674
0.256 0.767 0.153
0.744 0.767 0.847
0.750 0.022 0.326
0.781 0.260 0.830
0.785 0.498 0.317
```



Li8Mn5Fe3B8O24 | PBE with a Hubbard U | optimized geometry

Theoretical density, g/cm³: 3.1
Symmetry: P1
ΔE to the lowest computed polymorph, eV per formula unit: 0.12
VASP energy, eV for the cell shown: -344.16
Energy of formation from the pure elements, meV per atom: -2439

POSCAR file:
```
Li8Mn5Fe3B8O24
1.0
6.071 0.000 0.000
2.016 9.509 0.000
1.794 3.880 8.850
Li Mn Fe B O
8 5 3 8 24
Direct
0.000 0.000 0.000
0.001 0.499 0.499
0.406 0.564 0.370
0.408 0.066 0.871
0.498 0.998 0.499
0.499 0.498 0.000
0.907 0.066 0.369
0.908 0.565 0.868
0.267 0.825 0.809
0.639 0.239 0.557
0.640 0.738 0.058
0.766 0.825 0.311
0.767 0.326 0.811
0.138 0.742 0.555
0.139 0.244 0.060
0.266 0.321 0.312
0.119 0.167 0.645
0.121 0.663 0.147
0.287 0.400 0.724
0.287 0.901 0.222
0.618 0.166 0.148
0.618 0.665 0.646
0.788 0.898 0.720
0.789 0.399 0.220
0.117 0.393 0.842
0.117 0.896 0.341
0.131 0.544 0.289
0.132 0.050 0.787
0.273 0.518 0.583
0.274 0.019 0.082
0.289 0.171 0.527
0.294 0.668 0.032
0.437 0.288 0.120
0.437 0.786 0.617
0.467 0.779 0.248
0.468 0.278 0.748
0.616 0.397 0.335
0.616 0.897 0.835
0.627 0.550 0.790
0.628 0.049 0.290
0.778 0.016 0.578
0.781 0.515 0.078
0.790 0.168 0.033
0.793 0.667 0.533
0.938 0.287 0.619
0.941 0.785 0.121
0.969 0.777 0.747
0.970 0.276 0.248
```



MnTeMoO6 | PBE with a Hubbard U | optimized geometry

Theoretical density, g/cm³: 4.8
Symmetry: P1
ΔE to the lowest computed polymorph, eV per formula unit: 0.06
VASP energy, eV for the cell shown: -121.20
Energy of formation from the pure elements, meV per atom: -1861

POSCAR file:
```
MnTeMoO6
1.0
5.140 0.000 0.000
-0.059 5.416 0.000
-0.020 -0.010 9.303
Mn Te Mo O
2 2 2 12
Direct
0.000 0.000 0.000
0.500 0.499 0.937
0.499 0.998 0.725
0.999 0.498 0.208
0.499 0.998 0.267
0.999 0.498 0.656
0.157 0.291 0.544
0.215 0.673 0.073
0.241 0.181 0.168
0.260 0.677 0.758
0.279 0.165 0.859
0.339 0.791 0.380
0.659 0.205 0.379
0.720 0.833 0.860
0.739 0.320 0.758
0.758 0.814 0.169
0.784 0.322 0.072
0.842 0.705 0.544
```



Ti3MnCr2P6O24 | PBE with a Hubbard U | optimized geometry

Theoretical density, g/cm³: 3.1
Symmetry: R3
VASP energy, eV for the cell shown: -280.82
Energy of formation from the pure elements, meV per atom: -2766

POSCAR file:
```
Ti3MnCr2P6O24
1.0
4.344 2.508 7.079
-4.344 2.508 7.079
0.000 -5.016 7.079
Ti Mn Cr P O
3 1 2 6 24
Direct
0.000 0.000 0.000
0.209 0.209 0.209
0.708 0.708 0.708
0.501 0.501 0.501
0.356 0.356 0.356
0.855 0.855 0.855
0.101 0.811 0.397
0.308 0.603 0.903
0.397 0.101 0.811
0.603 0.903 0.308
0.811 0.397 0.101
0.903 0.308 0.603
0.031 0.868 0.238
0.100 0.295 0.440
0.117 0.769 0.928
0.163 0.974 0.352
0.238 0.031 0.868
0.257 0.620 0.404
0.295 0.440 0.100
0.334 0.543 0.754
0.352 0.163 0.974
0.404 0.257 0.620
0.440 0.100 0.295
0.476 0.660 0.854
0.543 0.754 0.334
0.589 0.936 0.800
0.620 0.404 0.257
0.660 0.854 0.476
0.754 0.334 0.543
0.769 0.928 0.117
0.800 0.589 0.936
0.854 0.476 0.660
0.868 0.238 0.031
0.928 0.117 0.769
0.936 0.800 0.589
0.974 0.352 0.163
```



> Which value of theoretical density does entry 2 give?

3.1 g/cm³



> Look up the energy of formation from the pure elements of the third one.

-1560 meV per atom



> What is the formula in the fifth record?

MnTeMoO6